1.
Entry from Materials Project: a relaxed CaAg2O4 crystal (PBE).

It has space group Imma (No. 74), with a = 6.5823 Å, b = 6.9348 Å, c = 8.8202 Å, α = 90.00°, β = 90.00° and γ = 90.00°. The inequivalent atoms are Ca at (0.0000, 0.0000, 0.0000), Ag at (0.0000, 0.2500, 0.3739), Ag at (0.2500, 0.2500, 0.7500), O at (0.0000, 0.0467, 0.7342) and O at (0.2273, 0.2500, 0.9835).

The calculation puts the total energy at -32.34 eV per formula unit. The excess energy over the best structure of this formula in the dataset comes out at 1.803 eV per formula unit. The formation energy is -1.089 eV/atom.

***

2.
Entry from Materials Project: a relaxed Cs2AlAuCl6 crystal (PBE).

It has space group Fm-3m (No. 225), with a = 10.3712 Å, b = 10.3712 Å, c = 10.3712 Å, α = 90.00°, β = 90.00° and γ = 90.00°. The inequivalent atoms are Cs at (0.2500, 0.2500, 0.2500), Al at (0.0000, 0.0000, 0.0000), Au at (0.0000, 0.0000, 0.5000) and Cl at (0.0000, 0.0000, 0.2292).

The calculation puts the total energy at -33.65 eV per formula unit. The formation energy is -1.743 eV/atom.

***

3.
Entry from Materials Project: a relaxed KLuH8C4O12 crystal (PBE).

It has space group I4_1/a (No. 88, origin choice 2), with a = 11.3814 Å, b = 11.3814 Å, c = 9.0868 Å, α = 90.00°, β = 90.00° and γ = 90.00°. The inequivalent atoms are K at (0.0000, 0.2500, 0.1250), Lu at (0.0000, 0.2500, 0.6250), H at (0.0953, 0.4919, 0.8603), H at (0.1669, 0.0073, 0.9931), C at (0.0043, 0.0240, 0.4214), O at (0.0072, 0.4475, 0.6813), O at (0.0083, 0.1342, 0.4077) and O at (0.1475, 0.0463, 0.0872).

The calculation puts the total energy at -166.37 eV per formula unit. The formation energy is -1.752 eV/atom.